[1]
An optimized crystal structure of Sr5Co4O12. Source: the Materials Project, functional GGA+U.

Calculated values
total energy	-6.01	eV/atom
energy relative to the elements	-2130.5	meV/atom
SG	P-3c1, No. 165
magnetic moment	0.528	μB/atom
energy with MP2020 corrections	-6.714	eV per atom

abc: 9.565 9.565 20.235
angles: 90.00 90.00 120.00
Sites, in units of the cell vectors:
Sr: 0.000 0.360 0.250
Sr: 0.000 0.640 0.750
Sr: 0.001 0.335 0.850
Sr: 0.001 0.667 0.350
Sr: 0.028 0.331 0.451
Sr: 0.028 0.698 0.951
Sr: 0.302 0.331 0.951
Sr: 0.302 0.972 0.451
Sr: 0.331 0.028 0.049
Sr: 0.331 0.302 0.549
Sr: 0.333 0.335 0.350
Sr: 0.333 0.999 0.850
Sr: 0.335 0.001 0.650
Sr: 0.335 0.333 0.150
Sr: 0.360 0.000 0.250
Sr: 0.360 0.360 0.750
Sr: 0.640 0.000 0.750
Sr: 0.640 0.640 0.250
Sr: 0.665 0.667 0.850
Sr: 0.665 0.999 0.350
Sr: 0.667 0.001 0.150
Sr: 0.667 0.665 0.650
Sr: 0.669 0.698 0.451
Sr: 0.669 0.972 0.951
Sr: 0.698 0.028 0.549
Sr: 0.698 0.669 0.049
Sr: 0.972 0.302 0.049
Sr: 0.972 0.669 0.549
Sr: 0.999 0.333 0.650
Sr: 0.999 0.665 0.150
Co: 0.000 0.000 0.000
Co: 0.000 0.000 0.123
Co: 0.000 0.000 0.250
Co: 0.000 0.000 0.377
Co: 0.000 0.000 0.500
Co: 0.000 0.000 0.623
Co: 0.000 0.000 0.750
Co: 0.000 0.000 0.877
Co: 0.333 0.667 0.050
Co: 0.333 0.667 0.178
Co: 0.333 0.667 0.299
Co: 0.333 0.667 0.421
Co: 0.333 0.667 0.550
Co: 0.333 0.667 0.678
Co: 0.333 0.667 0.799
Co: 0.333 0.667 0.921
Co: 0.667 0.333 0.079
Co: 0.667 0.333 0.201
Co: 0.667 0.333 0.322
Co: 0.667 0.333 0.450
Co: 0.667 0.333 0.579
Co: 0.667 0.333 0.701
Co: 0.667 0.333 0.822
Co: 0.667 0.333 0.950
O: 0.012 0.156 0.318
O: 0.012 0.857 0.818
O: 0.014 0.163 0.560
O: 0.014 0.851 0.060
O: 0.143 0.156 0.818
O: 0.143 0.988 0.318
O: 0.149 0.163 0.060
O: 0.149 0.986 0.560
O: 0.156 0.012 0.182
O: 0.156 0.143 0.682
O: 0.163 0.014 0.940
O: 0.163 0.149 0.440
O: 0.177 0.516 0.980
O: 0.177 0.660 0.480
O: 0.180 0.514 0.357
O: 0.180 0.516 0.118
O: 0.180 0.665 0.618
O: 0.180 0.666 0.857
O: 0.183 0.507 0.740
O: 0.183 0.676 0.240
O: 0.324 0.507 0.240
O: 0.324 0.817 0.740
O: 0.334 0.514 0.857
O: 0.334 0.820 0.357
O: 0.335 0.516 0.618
O: 0.335 0.820 0.118
O: 0.340 0.516 0.480
O: 0.340 0.823 0.980
O: 0.484 0.660 0.980
O: 0.484 0.665 0.118
O: 0.484 0.820 0.618
O: 0.484 0.823 0.480
O: 0.486 0.666 0.357
O: 0.486 0.820 0.857
O: 0.493 0.676 0.740
O: 0.493 0.817 0.240
O: 0.507 0.183 0.760
O: 0.507 0.324 0.260
O: 0.514 0.180 0.143
O: 0.514 0.334 0.643
O: 0.516 0.177 0.520
O: 0.516 0.180 0.382
O: 0.516 0.335 0.882
O: 0.516 0.340 0.020
O: 0.660 0.177 0.020
O: 0.660 0.484 0.520
O: 0.665 0.180 0.882
O: 0.665 0.484 0.382
O: 0.666 0.180 0.643
O: 0.666 0.486 0.143
O: 0.676 0.183 0.260
O: 0.676 0.493 0.760
O: 0.817 0.324 0.760
O: 0.817 0.493 0.260
O: 0.820 0.334 0.143
O: 0.820 0.335 0.382
O: 0.820 0.484 0.882
O: 0.820 0.486 0.643
O: 0.823 0.340 0.520
O: 0.823 0.484 0.020
O: 0.837 0.851 0.560
O: 0.837 0.986 0.060
O: 0.844 0.857 0.318
O: 0.844 0.988 0.818
O: 0.851 0.014 0.440
O: 0.851 0.837 0.940
O: 0.857 0.012 0.682
O: 0.857 0.844 0.182
O: 0.986 0.149 0.940
O: 0.986 0.837 0.440
O: 0.988 0.143 0.182
O: 0.988 0.844 0.682

[2]
An optimized crystal structure of SrCo12O19. Source: the Materials Project, functional GGA+U.

Calculated values
total energy	-6.00	eV/atom
energy relative to the elements	-1368.2	meV/atom
SG	P6_3/mmc, No. 194
magnetic moment	0.312	μB/atom
energy with MP2020 corrections	-7.024	eV per atom

abc: 5.796 5.796 22.399
angles: 90.00 90.00 120.00
Sites, in units of the cell vectors:
Sr: 0.333 0.667 0.250
Sr: 0.667 0.333 0.750
Co: 0.000 0.000 0.000
Co: 0.000 0.000 0.250
Co: 0.000 0.000 0.500
Co: 0.000 0.000 0.750
Co: 0.167 0.334 0.110
Co: 0.167 0.334 0.390
Co: 0.167 0.833 0.110
Co: 0.167 0.833 0.390
Co: 0.333 0.667 0.527
Co: 0.333 0.667 0.693
Co: 0.333 0.667 0.807
Co: 0.333 0.667 0.973
Co: 0.334 0.167 0.610
Co: 0.334 0.167 0.890
Co: 0.666 0.833 0.110
Co: 0.666 0.833 0.390
Co: 0.667 0.333 0.027
Co: 0.667 0.333 0.193
Co: 0.667 0.333 0.307
Co: 0.667 0.333 0.473
Co: 0.833 0.167 0.610
Co: 0.833 0.167 0.890
Co: 0.833 0.666 0.610
Co: 0.833 0.666 0.890
O: 0.000 0.000 0.161
O: 0.000 0.000 0.339
O: 0.000 0.000 0.661
O: 0.000 0.000 0.839
O: 0.003 0.502 0.653
O: 0.003 0.502 0.847
O: 0.148 0.296 0.554
O: 0.148 0.296 0.946
O: 0.148 0.852 0.554
O: 0.148 0.852 0.946
O: 0.189 0.378 0.750
O: 0.189 0.811 0.750
O: 0.296 0.148 0.054
O: 0.296 0.148 0.446
O: 0.333 0.667 0.061
O: 0.333 0.667 0.439
O: 0.378 0.189 0.250
O: 0.498 0.502 0.653
O: 0.498 0.502 0.847
O: 0.498 0.997 0.653
O: 0.498 0.997 0.847
O: 0.502 0.003 0.153
O: 0.502 0.003 0.347
O: 0.502 0.498 0.153
O: 0.502 0.498 0.347
O: 0.622 0.811 0.750
O: 0.667 0.333 0.561
O: 0.667 0.333 0.939
O: 0.704 0.852 0.554
O: 0.704 0.852 0.946
O: 0.811 0.189 0.250
O: 0.811 0.622 0.250
O: 0.852 0.148 0.054
O: 0.852 0.148 0.446
O: 0.852 0.704 0.054
O: 0.852 0.704 0.446
O: 0.997 0.498 0.153
O: 0.997 0.498 0.347